{"formula": "BaDySnSbO6", "functional": "PBE", "state": "optimized geometry", "lattice_angstrom": [[8.4008, 0.0000, 0.0000], [0.0000, 8.4565, 0.0000], [0.0000, 0.0000, 8.4600]], "species": ["Ba", "Ba", "Ba", "Ba", "Dy", "Dy", "Dy", "Dy", "Sn", "Sn", "Sn", "Sn", "Sb", "Sb", "Sb", "Sb", "O", "O", "O", "O", "O", "O", "O", "O", "O", "O", "O", "O", "O", "O", "O", "O", "O", "O", "O", "O", "O", "O", "O", "O"], "frac_coords": [[0.2500, 0.2500, 0.2500], [0.2500, 0.2500, 0.7500], [0.7500, 0.7500, 0.2500], [0.7500, 0.7500, 0.7500], [0.0000, 0.0000, 0.0000], [0.0000, 0.5000, 0.5000], [0.5000, 0.0000, 0.5000], [0.5000, 0.5000, 0.0000], [0.2500, 0.7500, 0.2500], [0.2500, 0.7500, 0.7500], [0.7500, 0.2500, 0.2500], [0.7500, 0.2500, 0.7500], [0.0000, 0.0000, 0.5000], [0.0000, 0.5000, 0.0000], [0.5000, 0.0000, 0.0000], [0.5000, 0.5000, 0.5000], [0.0256, 0.7356, 0.0403], [0.0256, 0.7644, 0.4597], [0.0267, 0.5385, 0.7644], [0.0267, 0.9615, 0.7356], [0.2364, 0.0277, 0.4817], [0.2364, 0.4723, 0.0183], [0.2636, 0.0277, 0.0183], [0.2636, 0.4723, 0.4817], [0.4733, 0.5385, 0.7356], [0.4733, 0.9615, 0.7644], [0.4744, 0.7356, 0.4597], [0.4744, 0.7644, 0.0403], [0.5256, 0.2356, 0.9597], [0.5256, 0.2644, 0.5403], [0.5267, 0.0385, 0.2356], [0.5267, 0.4615, 0.2644], [0.7364, 0.5277, 0.5183], [0.7364, 0.9723, 0.9817], [0.7636, 0.5277, 0.9817], [0.7636, 0.9723, 0.5183], [0.9733, 0.0385, 0.2644], [0.9733, 0.4615, 0.2356], [0.9744, 0.2356, 0.5403], [0.9744, 0.2644, 0.9597]], "spacegroup": "Pnnn", "density_g_cm3": 7.03, "dft_energy_ev_per_atom": -6.657, "ef_ev_per_atom": -2.634}